A relaxed structure of LiFePH2O5, computed with PBE with a Hubbard U.

Values from the calculation:
Energy above the most stable polymorph in this dataset (meV per atom): 12.8
DFT formation energy (eV per atom): -2.08
Space group: P1 (1)
Total magnetization (μB/cell): 0.00
Calculated volume (Å³/cell): 226

Lattice parameters (Å, degrees): 4.8072 5.7596 8.4010 103.22 90.00 90.04
Atoms (fractional coordinates):
Li (0.0000, 0.0000, 0.0000)
Li (0.5004, 0.2615, 0.1544)
Fe (0.4241, 0.3855, 0.6037)
Fe (0.9233, 0.8734, 0.5505)
P (0.0045, 0.3165, 0.3597)
P (0.5040, 0.9429, 0.7948)
H (0.0473, 0.2859, 0.8045)
H (0.4515, 0.7218, 0.3711)
H (0.5487, 0.9724, 0.3484)
H (0.9529, 0.5379, 0.7834)
O (0.1035, 0.2459, 0.1816)
O (0.1161, 0.4472, 0.8065)
O (0.1301, 0.5675, 0.4453)
O (0.1328, 0.1449, 0.4622)
O (0.1824, 0.9456, 0.7841)
O (0.6032, 0.0146, 0.9729)
O (0.6158, 0.8111, 0.3477)
O (0.6297, 0.6919, 0.7096)
O (0.6324, 0.1138, 0.6918)
O (0.6828, 0.3133, 0.3703)

***

A relaxed structure of LiFePH2O5, computed with PBE with a Hubbard U.

Values from the calculation:
Energy above the most stable polymorph in this dataset (meV per atom): 61.5
DFT formation energy (eV per atom): -2.03
Space group: P1 (1)
Total magnetization (μB/cell): 8.00
Calculated volume (Å³/cell): 217

Lattice parameters (Å, degrees): 4.7000 5.7236 8.0721 89.54 89.93 89.93
Atoms (fractional coordinates):
Li (0.0000, 0.0000, 0.0000)
Li (0.4999, 0.4959, 0.8776)
Fe (0.0741, 0.9987, 0.4616)
Fe (0.5750, 0.4966, 0.4157)
P (0.4971, 0.9952, 0.2119)
P (0.9976, 0.5002, 0.6656)
H (0.0113, 0.3598, 0.2250)
H (0.0185, 0.6311, 0.2271)
H (0.5089, 0.1356, 0.6533)
H (0.5188, 0.8644, 0.6500)
O (0.3263, 0.4964, 0.6525)
O (0.3619, 0.2051, 0.3120)
O (0.3704, 0.7733, 0.3038)
O (0.3865, 0.9968, 0.6625)
O (0.4041, 0.0021, 0.0301)
O (0.8259, 0.9984, 0.2249)
O (0.8630, 0.2909, 0.5651)
O (0.8708, 0.7220, 0.5736)
O (0.8875, 0.4980, 0.2154)
O (0.9038, 0.4933, 0.8474)

***

A relaxed structure of Li2FeP2HO8, computed with PBE with a Hubbard U.

Values from the calculation:
Energy above the most stable polymorph in this dataset (meV per atom): 180.4
Maximum piezoelectric response (C/m²): 3.01
DFT formation energy (eV per atom): -2.24
Space group: Pc (7)
Total magnetization (μB/cell): 10.00
Calculated volume (Å³/cell): 308

Lattice parameters (Å, degrees): 6.2724 7.5573 7.8792 90.00 124.48 90.00
Atoms (fractional coordinates):
Li (0.0000, 0.0463, 0.0000)
Li (0.0000, 0.9537, 0.5000)
Li (0.9634, 0.3765, 0.1527)
Li (0.9634, 0.6235, 0.6527)
Fe (0.3762, 0.2489, 0.7731)
Fe (0.3762, 0.7511, 0.2731)
P (0.4516, 0.3269, 0.2194)
P (0.4516, 0.6731, 0.7194)
P (0.7920, 0.1947, 0.6434)
P (0.7920, 0.8053, 0.1434)
H (0.9946, 0.2623, 0.4367)
H (0.9946, 0.7377, 0.9367)
O (0.0846, 0.2294, 0.7959)
O (0.0846, 0.7706, 0.2959)
O (0.1403, 0.1814, 0.4861)
O (0.1403, 0.8186, 0.9861)
O (0.2895, 0.4957, 0.1860)
O (0.2895, 0.5043, 0.6860)
O (0.2981, 0.1676, 0.2020)
O (0.2981, 0.8324, 0.7020)
O (0.5826, 0.3286, 0.1022)
O (0.5826, 0.6714, 0.6022)
O (0.6913, 0.2416, 0.7788)
O (0.6913, 0.7584, 0.2788)
O (0.7001, 0.3462, 0.4663)
O (0.7001, 0.6538, 0.9663)
O (0.7300, 0.0134, 0.5515)
O (0.7300, 0.9866, 0.0515)

***

A relaxed structure of Li2FePHO5, computed with PBE with a Hubbard U.

Values from the calculation:
Energy above the most stable polymorph in this dataset (meV per atom): 0.0
DFT formation energy (eV per atom): -2.26
Space group: P-1 (2)
Total magnetization (μB/cell): 8.00
Calculated volume (Å³/cell): 199

Lattice parameters (Å, degrees): 5.4320 5.5290 7.6035 108.45 110.29 93.83
Atoms (fractional coordinates):
Li (0.0138, 0.1374, 0.3428)
Li (0.2700, 0.3933, 0.1999)
Li (0.7300, 0.6067, 0.8001)
Li (0.9862, 0.8626, 0.6572)
Fe (0.5000, 0.0000, 0.0000)
Fe (0.5000, 0.0000, 0.5000)
P (0.1715, 0.3759, 0.7431)
P (0.8285, 0.6241, 0.2569)
H (0.1850, 0.9053, 0.1341)
H (0.8150, 0.0947, 0.8659)
O (0.1054, 0.7729, 0.4254)
O (0.1471, 0.6632, 0.8379)
O (0.2365, 0.2420, 0.9032)
O (0.3262, 0.0576, 0.2274)
O (0.3842, 0.3585, 0.6491)
O (0.6158, 0.6415, 0.3509)
O (0.6738, 0.9424, 0.7726)
O (0.7635, 0.7580, 0.0968)
O (0.8529, 0.3368, 0.1621)
O (0.8946, 0.2271, 0.5746)

***

A relaxed structure of LiFeP2H2O6, computed with PBE with a Hubbard U.

Values from the calculation:
DFT formation energy (eV per atom): -2.01
Space group: I-42d (122)
Total magnetization (μB/cell): 20.00
Calculated volume (Å³/cell): 584

Lattice parameters (Å, degrees): 9.1290 9.1290 9.1290 107.92 107.92 112.62
Atoms (fractional coordinates):
Li (0.3750, 0.1879, 0.3129)
Li (0.8121, 0.1250, 0.1871)
Li (0.8750, 0.0621, 0.6871)
Li (0.9379, 0.6250, 0.8129)
Fe (0.0934, 0.1250, 0.4684)
Fe (0.3750, 0.9066, 0.0316)
Fe (0.6566, 0.6250, 0.5316)
Fe (0.8750, 0.3434, 0.9684)
P (0.0980, 0.9008, 0.6977)
P (0.0992, 0.7969, 0.1971)
P (0.1503, 0.4531, 0.8023)
P (0.2031, 0.4003, 0.3023)
P (0.5469, 0.3492, 0.6971)
P (0.5997, 0.9020, 0.8029)
P (0.6508, 0.3480, 0.1977)
P (0.6520, 0.8497, 0.3029)
H (0.0973, 0.7801, 0.5577)
H (0.2199, 0.7776, 0.3172)
H (0.2224, 0.5396, 0.4423)
H (0.2896, 0.4724, 0.9423)
H (0.4604, 0.9027, 0.6828)
H (0.5276, 0.4699, 0.8172)
H (0.5301, 0.3473, 0.0577)
H (0.6527, 0.7104, 0.1828)
O (0.0155, 0.8804, 0.2903)
O (0.0789, 0.2166, 0.2862)
O (0.0827, 0.0466, 0.6536)
O (0.1196, 0.4099, 0.1351)
O (0.1599, 0.3696, 0.6351)
O (0.1791, 0.6430, 0.8464)
O (0.2073, 0.9211, 0.1377)
O (0.2748, 0.9845, 0.8649)
O (0.3570, 0.2034, 0.5362)
O (0.3930, 0.4291, 0.3464)
O (0.4752, 0.8401, 0.2097)
O (0.5427, 0.1804, 0.2138)
O (0.5709, 0.9173, 0.9638)
O (0.5901, 0.7252, 0.7097)
O (0.6304, 0.2655, 0.7903)
O (0.6673, 0.8209, 0.4638)
O (0.6711, 0.4573, 0.6377)
O (0.7345, 0.5248, 0.3649)
O (0.7834, 0.0696, 0.8623)
O (0.7966, 0.3327, 0.1536)
O (0.8196, 0.0334, 0.3623)
O (0.9304, 0.7927, 0.7138)
O (0.9534, 0.6070, 0.0362)
O (0.9666, 0.3289, 0.7862)

***

A relaxed structure of Li2FePHO5, computed with PBE with a Hubbard U.

Values from the calculation:
Energy above the most stable polymorph in this dataset (meV per atom): 9.8
DFT formation energy (eV per atom): -2.25
Space group: P2_1/c (14)
Total magnetization (μB/cell): 16.00
Calculated volume (Å³/cell): 431

Lattice parameters (Å, degrees): 8.3284 9.6096 5.5654 90.00 104.47 90.00
Atoms (fractional coordinates):
Li (0.0892, 0.1704, 0.3324)
Li (0.0892, 0.3296, 0.8324)
Li (0.1866, 0.6623, 0.7687)
Li (0.1866, 0.8377, 0.2687)
Li (0.8134, 0.1623, 0.7313)
Li (0.8134, 0.3377, 0.2313)
Li (0.9108, 0.6704, 0.1676)
Li (0.9108, 0.8296, 0.6676)
Fe (0.4867, 0.1319, 0.2105)
Fe (0.4867, 0.3681, 0.7105)
Fe (0.5133, 0.6319, 0.2895)
Fe (0.5133, 0.8681, 0.7895)
P (0.1883, 0.0230, 0.8688)
P (0.1883, 0.4770, 0.3688)
P (0.8117, 0.5230, 0.6312)
P (0.8117, 0.9770, 0.1312)
H (0.4775, 0.1241, 0.6513)
H (0.4775, 0.3759, 0.1513)
H (0.5225, 0.6241, 0.8487)
H (0.5225, 0.8759, 0.3487)
O (0.0603, 0.1203, 0.7019)
O (0.0603, 0.3797, 0.2019)
O (0.1322, 0.6303, 0.3774)
O (0.1322, 0.8697, 0.8774)
O (0.2379, 0.0810, 0.1426)
O (0.2379, 0.4190, 0.6426)
O (0.3527, 0.0269, 0.7791)
O (0.3527, 0.4731, 0.2791)
O (0.4501, 0.6841, 0.9216)
O (0.4501, 0.8159, 0.4216)
O (0.5499, 0.1841, 0.5784)
O (0.5499, 0.3159, 0.0784)
O (0.6473, 0.5269, 0.7209)
O (0.6473, 0.9731, 0.2209)
O (0.7621, 0.5810, 0.3574)
O (0.7621, 0.9190, 0.8574)
O (0.8678, 0.1303, 0.1226)
O (0.8678, 0.3697, 0.6226)
O (0.9397, 0.6203, 0.7981)
O (0.9397, 0.8797, 0.2981)

***

A relaxed structure of Li2FeP4H16O20, computed with PBE with a Hubbard U.

Values from the calculation:
DFT formation energy (eV per atom): -1.86
Space group: P2_1/c (14)
Total magnetization (μB/cell): 8.00
Calculated volume (Å³/cell): 823

Lattice parameters (Å, degrees): 7.1282 10.6674 12.0578 90.00 116.12 90.00
Atoms (fractional coordinates):
Li (0.2006, 0.1607, 0.4527)
Li (0.2006, 0.3393, 0.9527)
Li (0.7994, 0.6607, 0.0473)
Li (0.7994, 0.8393, 0.5473)
Fe (0.5000, 0.0000, 0.0000)
Fe (0.5000, 0.5000, 0.5000)
P (0.0375, 0.0440, 0.7768)
P (0.0375, 0.4560, 0.2768)
P (0.3201, 0.7387, 0.0835)
P (0.3201, 0.7613, 0.5835)
P (0.6799, 0.2387, 0.4165)
P (0.6799, 0.2613, 0.9165)
P (0.9625, 0.5440, 0.7232)
P (0.9625, 0.9560, 0.2232)
H (0.0941, 0.5881, 0.4257)
H (0.0941, 0.9119, 0.9257)
H (0.1003, 0.6038, 0.9447)
H (0.1003, 0.8962, 0.4447)
H (0.1450, 0.7085, 0.7116)
H (0.1450, 0.7915, 0.2116)
H (0.2560, 0.0945, 0.1018)
H (0.2560, 0.4055, 0.6018)
H (0.3216, 0.0371, 0.6832)
H (0.3216, 0.4629, 0.1832)
H (0.4677, 0.1704, 0.1572)
H (0.4677, 0.3296, 0.6572)
H (0.4831, 0.5651, 0.0999)
H (0.4831, 0.9349, 0.5999)
H (0.4959, 0.1231, 0.6855)
H (0.4959, 0.3769, 0.1855)
H (0.5041, 0.6231, 0.8145)
H (0.5041, 0.8769, 0.3145)
H (0.5169, 0.0651, 0.4001)
H (0.5169, 0.4349, 0.9001)
H (0.5323, 0.6704, 0.3428)
H (0.5323, 0.8296, 0.8428)
H (0.6784, 0.5371, 0.8168)
H (0.6784, 0.9629, 0.3168)
H (0.7440, 0.5945, 0.3982)
H (0.7440, 0.9055, 0.8982)
H (0.8550, 0.2085, 0.7884)
H (0.8550, 0.2915, 0.2884)
H (0.8997, 0.1038, 0.5553)
H (0.8997, 0.3962, 0.0553)
H (0.9059, 0.0881, 0.0743)
H (0.9059, 0.4119, 0.5743)
O (0.0060, 0.1860, 0.8061)
O (0.0060, 0.3140, 0.3061)
O (0.0334, 0.0428, 0.1406)
O (0.0334, 0.4572, 0.6406)
O (0.1024, 0.5133, 0.8583)
O (0.1024, 0.9867, 0.3583)
O (0.1069, 0.6657, 0.0161)
O (0.1069, 0.8343, 0.5161)
O (0.2706, 0.0280, 0.8152)
O (0.2706, 0.4720, 0.3152)
O (0.3064, 0.6385, 0.5155)
O (0.3064, 0.8615, 0.0155)
O (0.3569, 0.1362, 0.0785)
O (0.3569, 0.3638, 0.5785)
O (0.3604, 0.7424, 0.7182)
O (0.3604, 0.7576, 0.2182)
O (0.3893, 0.0625, 0.6298)
O (0.3893, 0.4375, 0.1298)
O (0.4998, 0.1555, 0.4236)
O (0.4998, 0.3445, 0.9236)
O (0.5002, 0.6555, 0.0764)
O (0.5002, 0.8445, 0.5764)
O (0.6107, 0.5625, 0.8702)
O (0.6107, 0.9375, 0.3702)
O (0.6396, 0.2424, 0.7818)
O (0.6396, 0.2576, 0.2818)
O (0.6431, 0.6362, 0.4215)
O (0.6431, 0.8638, 0.9215)
O (0.6936, 0.1385, 0.9845)
O (0.6936, 0.3615, 0.4845)
O (0.7294, 0.5280, 0.6848)
O (0.7294, 0.9720, 0.1848)
O (0.8931, 0.1657, 0.4839)
O (0.8931, 0.3343, 0.9839)
O (0.8976, 0.0133, 0.6417)
O (0.8976, 0.4867, 0.1417)
O (0.9666, 0.5428, 0.3594)
O (0.9666, 0.9572, 0.8594)
O (0.9940, 0.6860, 0.6939)
O (0.9940, 0.8140, 0.1939)

***

A relaxed structure of Li2FeP2HO8, computed with PBE with a Hubbard U.

Values from the calculation:
Energy above the most stable polymorph in this dataset (meV per atom): 0.0
DFT formation energy (eV per atom): -2.42
Total magnetization (μB/cell): 0.00
Calculated volume (Å³/cell): 581

Lattice parameters (Å, degrees): 7.9417 8.1144 9.7385 90.00 112.13 90.00
Atoms (fractional coordinates):
Li (0.3410, 0.6345, 0.7227)
Li (0.8429, 0.8666, 0.2301)
Li (0.8429, 0.8665, 0.7301)
Li (0.1589, 0.1345, 0.2773)
Li (0.6571, 0.3666, 0.2699)
Li (0.3411, 0.6345, 0.2227)
Li (0.6571, 0.3666, 0.7699)
Li (0.1590, 0.1345, 0.7773)
O (0.0518, 0.9415, 0.4040)
O (0.3121, 0.1791, 0.1488)
O (0.6605, 0.0453, 0.1377)
O (0.6856, 0.8210, 0.3523)
O (0.8395, 0.5453, 0.3623)
O (0.6605, 0.0453, 0.6377)
O (0.8470, 0.6765, 0.1019)
O (0.0518, 0.9415, 0.9040)
O (0.1878, 0.6791, 0.3513)
O (0.6856, 0.8210, 0.8524)
O (0.5525, 0.5604, 0.9054)
O (0.1592, 0.4552, 0.6387)
O (0.6530, 0.1765, 0.8982)
O (0.1522, 0.3250, 0.9014)
O (0.3408, 0.9552, 0.3613)
O (0.8395, 0.5453, 0.8623)
O (0.1592, 0.4552, 0.1387)
O (0.9475, 0.0604, 0.5946)
O (0.3408, 0.9552, 0.8613)
O (0.4482, 0.4415, 0.0960)
O (0.9475, 0.0604, 0.0946)
O (0.3478, 0.8250, 0.0986)
O (0.6530, 0.1765, 0.3981)
O (0.4482, 0.4415, 0.5960)
O (0.3478, 0.8250, 0.5986)
O (0.8144, 0.3210, 0.6476)
O (0.1879, 0.6790, 0.8513)
O (0.1522, 0.3250, 0.4014)
O (0.3122, 0.1790, 0.6487)
O (0.8144, 0.3210, 0.1477)
O (0.5525, 0.5604, 0.4054)
O (0.8470, 0.6765, 0.6018)
P (0.2313, 0.8484, 0.9312)
P (0.7376, 0.6554, 0.9347)
P (0.2687, 0.3483, 0.5687)
P (0.7623, 0.1554, 0.0653)
P (0.7377, 0.6554, 0.4347)
P (0.7624, 0.1553, 0.5653)
P (0.2313, 0.8484, 0.4313)
P (0.2687, 0.3484, 0.0688)
Fe (0.0046, 0.5000, 0.7528)
Fe (0.4954, 0.0000, 0.2471)
Fe (0.0046, 0.5000, 0.2528)
Fe (0.4954, 0.0000, 0.7472)
H (0.9872, 0.0113, 0.0096)
H (0.9872, 0.0113, 0.5096)
H (0.5128, 0.5113, 0.9904)
H (0.5128, 0.5113, 0.4904)